# 1
This record from Materials Project describes crystalline Li5Mn2Fe3P6O24 at its relaxed geometry. The functional is PBE with a Hubbard U.

Cell lengths 8.5483, 8.6244, 8.6329 Å; angles 61.72, 62.05, 61.97 degrees
Fractional positions:
1 Li 0.0000 0.0000 0.0000
2 Li 0.0064 0.8215 0.3518
3 Li 0.3527 0.0114 0.8172
4 Li 0.8168 0.3561 0.0072
5 Li 0.9087 0.3029 0.5106
6 Mn 0.1624 0.1572 0.1469
7 Mn 0.6433 0.6668 0.6554
8 Fe 0.3037 0.3069 0.2963
9 Fe 0.5067 0.5171 0.5083
10 Fe 0.8052 0.8115 0.8116
11 P 0.1046 0.4139 0.6942
12 P 0.2089 0.9117 0.6077
13 P 0.4104 0.7017 0.1117
14 P 0.6064 0.2130 0.9105
15 P 0.7028 0.1193 0.4120
16 P 0.9081 0.6122 0.2095
17 O 0.0440 0.8493 0.6542
18 O 0.0583 0.4119 0.2294
19 O 0.1014 0.2570 0.8854
20 O 0.1226 0.3535 0.5428
21 O 0.1886 0.9699 0.7580
22 O 0.2047 0.0766 0.4188
23 O 0.2537 0.8934 0.1009
24 O 0.2672 0.4816 0.6332
25 O 0.3435 0.5462 0.1505
26 O 0.4004 0.7539 0.5766
27 O 0.4099 0.2292 0.0638
28 O 0.4887 0.6513 0.2616
29 O 0.5349 0.1693 0.3550
30 O 0.5621 0.7270 0.9132
31 O 0.5946 0.3993 0.7419
32 O 0.6470 0.0492 0.8521
33 O 0.6765 0.2674 0.4804
34 O 0.7196 0.9216 0.5654
35 O 0.7528 0.5799 0.4055
36 O 0.7584 0.1866 0.9728
37 O 0.8472 0.6531 0.0476
38 O 0.8922 0.1017 0.2520
39 O 0.9087 0.5692 0.7254
40 O 0.9696 0.7619 0.1855

Summary:
symmetry	P1
energy	-6.920	eV/atom
volume	11.73	Å³/atom



# 2
This record from Materials Project describes crystalline V2Cu3Bi4O14 at its relaxed geometry. The functional is PBE with a Hubbard U.

Cell lengths 5.3389, 8.0681, 8.1172 Å; angles 74.61, 89.51, 70.75 degrees
Fractional positions:
1 V 0.2478 0.4279 0.2536
2 V 0.7522 0.5721 0.7464
3 Cu 0.1358 0.7791 0.4771
4 Cu 0.5000 0.0000 0.5000
5 Cu 0.8642 0.2209 0.5229
6 Bi 0.0752 0.8435 0.8614
7 Bi 0.3948 0.2058 0.8037
8 Bi 0.6052 0.7942 0.1963
9 Bi 0.9248 0.1565 0.1386
10 O 0.0358 0.6081 0.6582
11 O 0.1710 0.6670 0.1714
12 O 0.2115 0.0700 0.6443
13 O 0.2531 0.0006 0.9968
14 O 0.2779 0.9577 0.3347
15 O 0.3206 0.3189 0.0918
16 O 0.4949 0.6591 0.5869
17 O 0.5051 0.3409 0.4131
18 O 0.6794 0.6811 0.9082
19 O 0.7221 0.0423 0.6653
20 O 0.7469 0.9994 0.0032
21 O 0.7885 0.9300 0.3557
22 O 0.8290 0.3330 0.8286
23 O 0.9642 0.3919 0.3418

Summary:
symmetry	P-1
energy	-6.153	eV/atom
volume	13.79	Å³/atom



# 3
This record from Materials Project describes crystalline Ba3V4P6O24 at its relaxed geometry. The functional is PBE with a Hubbard U.

Cell lengths 10.0507, 10.0824, 10.0772 Å; angles 90.00, 90.17, 90.00 degrees
Fractional positions:
1 Ba 0.0643 0.0000 0.1963
2 Ba 0.2965 0.2364 0.9484
3 Ba 0.4266 0.8600 0.6655
4 Ba 0.5734 0.3600 0.3345
5 Ba 0.7035 0.7364 0.0516
6 Ba 0.9357 0.5000 0.8037
7 V 0.0855 0.8502 0.8349
8 V 0.1454 0.2901 0.5974
9 V 0.3504 0.5851 0.1071
10 V 0.4129 0.0223 0.3353
11 V 0.5871 0.5223 0.6647
12 V 0.6496 0.0851 0.8929
13 V 0.8546 0.7901 0.4026
14 V 0.9145 0.3502 0.1651
15 P 0.0388 0.6636 0.1214
16 P 0.1264 0.9760 0.5224
17 P 0.2288 0.3081 0.2886
18 P 0.2728 0.5611 0.7898
19 P 0.3735 0.8986 0.0214
20 P 0.4606 0.2075 0.6250
21 P 0.5394 0.7075 0.3750
22 P 0.6265 0.3986 0.9786
23 P 0.7272 0.0611 0.2102
24 P 0.7712 0.8081 0.7114
25 P 0.8736 0.4760 0.4776
26 P 0.9612 0.1636 0.8786
27 O 0.0012 0.5180 0.0936
28 O 0.0098 0.7412 0.9897
29 O 0.0208 0.8918 0.4494
30 O 0.0547 0.2324 0.7777
31 O 0.0832 0.1224 0.5139
32 O 0.0827 0.2803 0.2496
33 O 0.1549 0.9318 0.6669
34 O 0.1857 0.6798 0.1627
35 O 0.1946 0.6913 0.7743
36 O 0.2013 0.4527 0.7094
37 O 0.2416 0.9224 0.9434
38 O 0.2454 0.3516 0.4332
39 O 0.2585 0.9539 0.4448
40 O 0.2699 0.5107 0.9369
41 O 0.2994 0.4057 0.1930
42 O 0.3033 0.1738 0.2594
43 O 0.3141 0.2024 0.6755
44 O 0.3445 0.9357 0.1662
45 O 0.4172 0.5888 0.7465
46 O 0.4265 0.7545 0.0106
47 O 0.4566 0.6350 0.2682
48 O 0.4746 0.9929 0.9541
49 O 0.4779 0.1317 0.4934
50 O 0.4972 0.8522 0.4011
51 O 0.5028 0.3522 0.5989
52 O 0.5221 0.6317 0.5066
53 O 0.5254 0.4929 0.0459
54 O 0.5434 0.1350 0.7318
55 O 0.5735 0.2545 0.9894
56 O 0.5828 0.0888 0.2535
57 O 0.6555 0.4357 0.8338
58 O 0.6859 0.7024 0.3245
59 O 0.6967 0.6738 0.7406
60 O 0.7006 0.9057 0.8070
61 O 0.7301 0.0107 0.0631
62 O 0.7415 0.4539 0.5552
63 O 0.7546 0.8516 0.5668
64 O 0.7584 0.4224 0.0566
65 O 0.7987 0.9527 0.2906
66 O 0.8054 0.1913 0.2257
67 O 0.8143 0.1798 0.8373
68 O 0.8451 0.4318 0.3331
69 O 0.9168 0.6224 0.4861
70 O 0.9173 0.7803 0.7504
71 O 0.9453 0.7324 0.2223
72 O 0.9792 0.3918 0.5506
73 O 0.9902 0.2412 0.0103
74 O 0.9988 0.0180 0.9064

Summary:
symmetry	P2_1
energy	-7.524	eV/atom
volume	13.80	Å³/atom



# 4
This record from Materials Project describes crystalline TiMn3P4O16 at its relaxed geometry. The functional is PBE with a Hubbard U.

Cell lengths 4.9597, 6.0429, 9.9604 Å; angles 90.00, 90.25, 90.00 degrees
Fractional positions:
1 Ti 0.0000 0.0000 0.0000
2 Mn 0.3891 0.0000 0.4919
3 Mn 0.5052 0.5000 0.0528
4 Mn 0.8968 0.5000 0.5655
5 P 0.0291 0.5000 0.8712
6 P 0.3781 0.5000 0.3810
7 P 0.5741 0.0000 0.1777
8 P 0.8796 0.0000 0.6750
9 O 0.1210 0.5000 0.7239
10 O 0.1621 0.2952 0.9470
11 O 0.1621 0.7048 0.9470
12 O 0.1875 0.0000 0.6572
13 O 0.2365 0.2997 0.4524
14 O 0.2365 0.7003 0.4524
15 O 0.2732 0.0000 0.1379
16 O 0.3202 0.5000 0.2317
17 O 0.6095 0.0000 0.3291
18 O 0.6869 0.5000 0.4039
19 O 0.7258 0.5000 0.8819
20 O 0.7297 0.1936 0.1063
21 O 0.7297 0.8064 0.1063
22 O 0.7365 0.2001 0.6082
23 O 0.7365 0.7999 0.6082
24 O 0.8276 0.0000 0.8302

Summary:
symmetry	Pm
energy	-7.644	eV/atom
volume	12.44	Å³/atom



# 5
This record from Materials Project describes crystalline Li5Mn2P3O12 at its relaxed geometry. The functional is PBE with a Hubbard U.

Cell lengths 8.8992, 8.9223, 12.5801 Å; angles 90.00, 90.52, 90.00 degrees
Fractional positions:
1 Li 0.0425 0.0000 0.0675
2 Li 0.1205 0.9576 0.5035
3 Li 0.1549 0.8752 0.2663
4 Li 0.1768 0.3257 0.5530
5 Li 0.2006 0.7494 0.9077
6 Li 0.2955 0.7132 0.5879
7 Li 0.3278 0.1367 0.9448
8 Li 0.3634 0.5066 0.0061
9 Li 0.4041 0.4125 0.2396
10 Li 0.4530 0.4647 0.4461
11 Li 0.5470 0.9647 0.5539
12 Li 0.5959 0.9125 0.7604
13 Li 0.6366 0.0066 0.9939
14 Li 0.6722 0.6367 0.0552
15 Li 0.7045 0.2132 0.4121
16 Li 0.7994 0.2494 0.0923
17 Li 0.8232 0.8257 0.4470
18 Li 0.8451 0.3752 0.7336
19 Li 0.8795 0.4576 0.4965
20 Li 0.9575 0.5000 0.9325
21 Mn 0.0056 0.1697 0.8574
22 Mn 0.0080 0.2652 0.3507
23 Mn 0.4985 0.1638 0.1476
24 Mn 0.4997 0.2758 0.6509
25 Mn 0.5003 0.7758 0.3491
26 Mn 0.5015 0.6638 0.8524
27 Mn 0.9920 0.7652 0.6493
28 Mn 0.9944 0.6697 0.1426
29 P 0.1464 0.6230 0.4048
30 P 0.1503 0.3316 0.0930
31 P 0.1969 0.4776 0.7575
32 P 0.3019 0.9734 0.7406
33 P 0.3498 0.1333 0.4028
34 P 0.3510 0.8407 0.0929
35 P 0.6490 0.3407 0.9071
36 P 0.6502 0.6333 0.5972
37 P 0.6981 0.4734 0.2594
38 P 0.8031 0.9776 0.2425
39 P 0.8497 0.8316 0.9070
40 P 0.8536 0.1230 0.5952
41 O 0.0453 0.4125 0.7996
42 O 0.0589 0.7469 0.4671
43 O 0.0681 0.2912 0.1954
44 O 0.0924 0.4641 0.4388
45 O 0.0945 0.4854 0.0506
46 O 0.1249 0.2024 0.0110
47 O 0.1262 0.6496 0.2849
48 O 0.1635 0.6090 0.6804
49 O 0.1777 0.0998 0.3921
50 O 0.1812 0.8259 0.0603
51 O 0.2083 0.9131 0.6447
52 O 0.2186 0.0887 0.8094
53 O 0.2830 0.3595 0.6925
54 O 0.2881 0.5376 0.8559
55 O 0.3161 0.6378 0.4380
56 O 0.3249 0.3472 0.1079
57 O 0.3498 0.8444 0.8167
58 O 0.3646 0.8451 0.2156
59 O 0.3749 0.2550 0.4908
60 O 0.4109 0.9928 0.0484
61 O 0.4150 0.2018 0.3001
62 O 0.4261 0.9831 0.4321
63 O 0.4383 0.7096 0.0412
64 O 0.4511 0.0404 0.6939
65 O 0.5489 0.5404 0.3061
66 O 0.5617 0.2096 0.9588
67 O 0.5739 0.4831 0.5679
68 O 0.5850 0.7018 0.6999
69 O 0.5891 0.4928 0.9516
70 O 0.6251 0.7550 0.5092
71 O 0.6354 0.3451 0.7844
72 O 0.6502 0.3444 0.1833
73 O 0.6751 0.8472 0.8921
74 O 0.6839 0.1378 0.5620
75 O 0.7119 0.0376 0.1441
76 O 0.7170 0.8595 0.3075
77 O 0.7814 0.5887 0.1906
78 O 0.7917 0.4131 0.3553
79 O 0.8188 0.3259 0.9397
80 O 0.8223 0.5998 0.6079
81 O 0.8365 0.1090 0.3196
82 O 0.8738 0.1496 0.7151
83 O 0.8751 0.7024 0.9890
84 O 0.9055 0.9854 0.9494
85 O 0.9076 0.9641 0.5612
86 O 0.9319 0.7912 0.8046
87 O 0.9411 0.2469 0.5329
88 O 0.9547 0.9125 0.2004

Summary:
symmetry	P2_1
relative energy among the computed polymorphs	29	kJ/mol of formula units
energy	-6.802	eV/atom
volume	11.35	Å³/atom



# 6
This record from Materials Project describes crystalline Li3Fe2Si2O8 at its relaxed geometry. The functional is PBE with a Hubbard U.

Cell lengths 8.3280, 10.6890, 8.2707 Å; angles 90.00, 104.81, 90.00 degrees
Fractional positions:
1 Li 0.1464 0.1535 0.1444
2 Li 0.1464 0.3465 0.6444
3 Li 0.2309 0.0755 0.4769
4 Li 0.2309 0.4245 0.9769
5 Li 0.3340 0.6580 0.8369
6 Li 0.3340 0.8420 0.3369
7 Li 0.6660 0.1580 0.6631
8 Li 0.6660 0.3420 0.1631
9 Li 0.7691 0.5755 0.0231
10 Li 0.7691 0.9245 0.5231
11 Li 0.8536 0.6535 0.3556
12 Li 0.8536 0.8465 0.8556
13 Fe 0.0945 0.6624 0.1013
14 Fe 0.0945 0.8376 0.6013
15 Fe 0.4116 0.1632 0.9080
16 Fe 0.4116 0.3368 0.4080
17 Fe 0.5884 0.6632 0.5920
18 Fe 0.5884 0.8368 0.0920
19 Fe 0.9055 0.1624 0.3987
20 Fe 0.9055 0.3376 0.8987
21 Si 0.0387 0.0923 0.7744
22 Si 0.0387 0.4077 0.2744
23 Si 0.4705 0.5878 0.2162
24 Si 0.4705 0.9122 0.7162
25 Si 0.5295 0.0878 0.2838
26 Si 0.5295 0.4122 0.7838
27 Si 0.9613 0.5923 0.7256
28 Si 0.9613 0.9077 0.2256
29 O 0.0232 0.0526 0.2716
30 O 0.0232 0.4474 0.7716
31 O 0.0980 0.1588 0.6181
32 O 0.0980 0.3412 0.1181
33 O 0.1176 0.6654 0.6849
34 O 0.1176 0.8346 0.1849
35 O 0.2072 0.1038 0.9363
36 O 0.2072 0.3962 0.4363
37 O 0.3087 0.5956 0.0545
38 O 0.3087 0.9044 0.5545
39 O 0.3742 0.1597 0.3411
40 O 0.3742 0.3403 0.8411
41 O 0.4396 0.6672 0.3773
42 O 0.4396 0.8328 0.8773
43 O 0.4934 0.5612 0.7355
44 O 0.4934 0.9388 0.2355
45 O 0.5066 0.0612 0.7645
46 O 0.5066 0.4388 0.2645
47 O 0.5604 0.1672 0.1227
48 O 0.5604 0.3328 0.6227
49 O 0.6258 0.6597 0.1589
50 O 0.6258 0.8403 0.6589
51 O 0.6913 0.0956 0.4455
52 O 0.6913 0.4044 0.9455
53 O 0.7928 0.6038 0.5637
54 O 0.7928 0.8962 0.0637
55 O 0.8824 0.1654 0.8151
56 O 0.8824 0.3346 0.3151
57 O 0.9020 0.6588 0.8819
58 O 0.9020 0.8412 0.3819
59 O 0.9768 0.5526 0.2284
60 O 0.9768 0.9474 0.7284

Summary:
symmetry	P2_1/c
relative energy among the computed polymorphs	0	kJ/mol of formula units
energy	-6.729	eV/atom
volume	11.86	Å³/atom



# 7
This record from Materials Project describes crystalline Li3Fe3O8 at its relaxed geometry. The functional is PBE with a Hubbard U.

Cell lengths 5.8790, 5.8790, 5.8790 Å; angles 121.91, 118.71, 89.48 degrees
Fractional positions:
1 Li 0.0000 0.0000 0.0000
2 Li 0.6079 0.3576 0.7498
3 Li 0.6079 0.8581 0.2502
4 Fe 0.0939 0.3509 0.7430
5 Fe 0.2132 0.7132 0.5000
6 Fe 0.6080 0.3509 0.2570
7 O 0.3366 0.5823 0.7543
8 O 0.3570 0.1238 0.7668
9 O 0.3570 0.5902 0.2332
10 O 0.3956 0.1380 0.2577
11 O 0.8280 0.5823 0.2457
12 O 0.8548 0.1292 0.2743
13 O 0.8548 0.5805 0.7257
14 O 0.8803 0.1380 0.7423

Summary:
symmetry	Imm2
relative energy among the computed polymorphs	110	kJ/mol of formula units
energy	-5.699	eV/atom
volume	10.20	Å³/atom



# 8
This record from Materials Project describes crystalline Li3Mn2P3O12 at its relaxed geometry. The functional is PBE with a Hubbard U.

Cell lengths 8.3007, 8.3007, 9.0745 Å; angles 119.18, 119.18, 64.48 degrees
Fractional positions:
1 Li 0.0000 0.5000 0.5000
2 Li 0.1644 0.2133 0.1212
3 Li 0.2133 0.1644 0.6212
4 Li 0.5000 0.0000 0.0000
5 Li 0.7867 0.8356 0.3788
6 Li 0.8356 0.7867 0.8788
7 Mn 0.1489 0.6292 0.3417
8 Mn 0.3708 0.8511 0.1583
9 Mn 0.6292 0.1489 0.8417
10 Mn 0.8511 0.3708 0.6583
11 P 0.0337 0.9663 0.7500
12 P 0.2576 0.4305 0.9639
13 P 0.4305 0.2576 0.4639
14 P 0.5695 0.7424 0.5361
15 P 0.7424 0.5695 0.0361
16 P 0.9663 0.0337 0.2500
17 O 0.0096 0.8724 0.3170
18 O 0.0304 0.7767 0.5888
19 O 0.0956 0.4376 0.7770
20 O 0.1276 0.9904 0.1830
21 O 0.1938 0.4194 0.0898
22 O 0.2233 0.9696 0.9112
23 O 0.2388 0.4102 0.4144
24 O 0.3310 0.6067 0.0465
25 O 0.3933 0.6690 0.4535
26 O 0.4102 0.2388 0.9144
27 O 0.4194 0.1938 0.5898
28 O 0.4376 0.0956 0.2770
29 O 0.5624 0.9044 0.7230
30 O 0.5806 0.8062 0.4102
31 O 0.5898 0.7612 0.0856
32 O 0.6067 0.3310 0.5465
33 O 0.6690 0.3933 0.9535
34 O 0.7612 0.5898 0.5856
35 O 0.7767 0.0304 0.0888
36 O 0.8062 0.5806 0.9102
37 O 0.8724 0.0096 0.8170
38 O 0.9044 0.5624 0.2230
39 O 0.9696 0.2233 0.4112
40 O 0.9904 0.1276 0.6830

Summary:
symmetry	C2/c
relative energy among the computed polymorphs	55	kJ/mol of formula units
energy	-6.940	eV/atom
volume	11.53	Å³/atom



# 9
This record from Materials Project describes crystalline RbFeF4 at its relaxed geometry. The functional is PBE with a Hubbard U.

Cell lengths 5.4571, 5.4571, 6.5815 Å; angles 90.00, 90.00, 90.00 degrees
Fractional positions:
1 Rb 0.0000 0.5000 0.0000
2 Rb 0.5000 0.0000 0.0000
3 Fe 0.0000 0.0000 0.5000
4 Fe 0.5000 0.5000 0.5000
5 F 0.0000 0.0000 0.2093
6 F 0.0000 0.0000 0.7907
7 F 0.1890 0.3110 0.5000
8 F 0.3110 0.8110 0.5000
9 F 0.5000 0.5000 0.2093
10 F 0.5000 0.5000 0.7907
11 F 0.6890 0.1890 0.5000
12 F 0.8110 0.6890 0.5000

Summary:
symmetry	P4/mbm
energy	-4.983	eV/atom
volume	16.33	Å³/atom